# 1
Li3Zn2SbO6 | the Materials Project database | PBE | optimized geometry; space-group type = No. 12; total energy = -5.212 eV/atom; MP2020-corrected energy = -5.555 eV/atom; M_tot = 0.000 μB per atom
1.0
-2.885 -4.415 0.533
5.228 -0.152 0.862
0.050 -0.501 5.247
O Zn Li Sb
6 2 3 1
Direct
0.393 0.079 0.764 O
0.607 0.921 0.236 O
0.921 0.607 0.236 O
0.235 0.235 0.229 O
0.079 0.393 0.764 O
0.765 0.765 0.771 O
0.333 0.667 0.000 Zn
0.667 0.333 0.000 Zn
0.170 0.830 0.500 Li
0.830 0.170 0.500 Li
0.500 0.500 0.500 Li
0.000 0.000 0.000 Sb

# 2
LiScSiO4 | the Materials Project database | PBE | optimized geometry; space-group type = No. 62; total energy = -7.761 eV/atom; MP2020-corrected energy = -8.154 eV/atom; M_tot = 0.000 μB per atom
1.0
4.864 0.000 0.000
0.000 6.033 0.000
0.000 0.000 10.530
O Si Li Sc
16 4 4 4
Direct
0.784 0.960 0.669 O
0.284 0.460 0.831 O
0.196 0.250 0.552 O
0.716 0.960 0.169 O
0.266 0.750 0.601 O
0.216 0.460 0.331 O
0.716 0.540 0.169 O
0.284 0.040 0.831 O
0.766 0.250 0.899 O
0.804 0.750 0.448 O
0.734 0.250 0.399 O
0.234 0.750 0.101 O
0.304 0.250 0.052 O
0.696 0.750 0.948 O
0.216 0.040 0.331 O
0.784 0.540 0.669 O
0.934 0.750 0.592 Si
0.566 0.750 0.092 Si
0.434 0.250 0.908 Si
0.066 0.250 0.408 Si
0.000 0.000 0.000 Li
0.500 0.000 0.500 Li
0.000 0.500 0.000 Li
0.500 0.500 0.500 Li
0.505 0.250 0.225 Sc
0.995 0.250 0.725 Sc
0.495 0.750 0.775 Sc
0.005 0.750 0.275 Sc

no.,formation energy (meV per atom)
1,-2050
2,-3374